# BaMg6CO8 | the Materials Project database | PBE | relaxed
# Formation energy: -2.02 eV per atom
# Total energy after the MP2020 corrections: -5.79 eV/atom
data_BaMg6CO8
_symmetry_space_group_name_H-M 'P 4/m m m'
_symmetry_Int_Tables_number 123
_symmetry_space_group_name_Hall '-P 4 2'
_cell_length_a 4.575
_cell_length_b 4.575
_cell_length_c 8.960
_cell_angle_alpha 90.00
_cell_angle_beta 90.00
_cell_angle_gamma 90.00
loop_
_atom_site_label
_atom_site_fract_x
_atom_site_fract_y
_atom_site_fract_z
_atom_site_occupancy
Ba1 0.000 0.000 0.000 1
Mg1 0.000 0.000 0.500 1
Mg2 0.000 0.500 0.266 1
Mg3 0.500 0.500 0.500 1
C1 0.500 0.500 0.000 1
O1 0.000 0.000 0.282 1
O2 0.000 0.500 0.000 1
O3 0.000 0.500 0.500 1
O4 0.500 0.500 0.259 1